(1)
A plane-wave DFT calculation with PBE was carried out for crystalline Mn3As2H26S8N10 at its relaxed geometry.

Summary:
The symmetry is C2/c (15). Its energy of formation is -0.44 eV per atom.

a b c (Å): 7.9379 12.7682 13.0763
angles (deg): 93.57 107.67 90.00
Fractional positions:
H: 0.0608 0.1246 0.3524
H: 0.5975 0.2234 0.0994
N: 0.6232 0.4301 0.6060
N: 0.6194 0.6860 0.1093
Mn: 0.7298 0.0121 0.5088
H: 0.8112 0.8878 0.1862
H: 0.1888 0.1122 0.8138
H: 0.0277 0.8638 0.9523
H: 0.5960 0.6068 0.0934
As: 0.4225 0.9230 0.2870
N: 0.4899 0.1860 0.1093
S: 0.9382 0.5794 0.3753
S: 0.2374 0.8337 0.3437
H: 0.6250 0.6122 0.8138
H: 0.9246 0.3638 0.9523
Mn: 0.7790 0.5121 0.5088
N: 0.9201 0.8233 0.9015
S: 0.6581 0.3671 0.3529
H: 0.3999 0.5132 0.3408
N: 0.7137 0.6012 0.8879
Mn: 0.2702 0.9879 0.4912
H: 0.1571 0.1247 0.1482
S: 0.3371 0.9229 0.1139
H: 0.0356 0.2305 0.1456
N: 0.0186 0.6767 0.0985
H: 0.8901 0.2695 0.8544
S: 0.5628 0.9206 0.6247
N: 0.4544 0.3797 0.5496
H: 0.9392 0.8754 0.6476
H: 0.3394 0.4554 0.0785
N: 0.9814 0.3233 0.9015
S: 0.7626 0.1663 0.6563
N: 0.3768 0.5699 0.3940
N: 0.5456 0.6203 0.4504
H: 0.1720 0.4263 0.1239
S: 0.6629 0.0771 0.8861
H: 0.0480 0.0737 0.8761
Mn: 0.7640 0.7500 0.0000
H: 0.9644 0.7695 0.8544
H: 0.3750 0.3878 0.1862
H: 0.6001 0.4868 0.6592
H: 0.8429 0.8753 0.8518
S: 0.7768 0.4229 0.1139
S: 0.4372 0.0794 0.3753
H: 0.1099 0.7305 0.1456
H: 0.5289 0.6614 0.5166
N: 0.8258 0.8988 0.1121
H: 0.6889 0.6965 0.1894
S: 0.0618 0.4206 0.6247
Mn: 0.2360 0.2500 0.0000
S: 0.8937 0.6663 0.6563
H: 0.0591 0.9868 0.6592
H: 0.2609 0.0446 0.9215
S: 0.3419 0.6329 0.6471
N: 0.2863 0.3988 0.1121
N: 0.9828 0.9301 0.6060
H: 0.5005 0.1965 0.1894
H: 0.0754 0.6362 0.0477
S: 0.6949 0.8671 0.3529
H: 0.4711 0.3386 0.4834
H: 0.9520 0.9263 0.1239
As: 0.5775 0.0770 0.7130
As: 0.8644 0.4230 0.2870
H: 0.5777 0.6754 0.4049
H: 0.4223 0.3246 0.5951
H: 0.4025 0.7766 0.9006
H: 0.8280 0.5737 0.8761
N: 0.0172 0.0699 0.3940
H: 0.1729 0.8246 0.5951
H: 0.3111 0.3035 0.8106
S: 0.1063 0.3337 0.3437
H: 0.4040 0.3932 0.9066
N: 0.5101 0.8140 0.8907
H: 0.9409 0.0132 0.3408
H: 0.9877 0.1614 0.5166
H: 0.8271 0.1754 0.4049
H: 0.4995 0.8035 0.8106
Mn: 0.2210 0.4879 0.4912
N: 0.0952 0.8797 0.5496
H: 0.5019 0.7234 0.0994
N: 0.9048 0.1203 0.4504
H: 0.9911 0.6247 0.1482
H: 0.9723 0.1362 0.0477
As: 0.1356 0.5770 0.7130
H: 0.4974 0.1068 0.0934
S: 0.2232 0.5771 0.8861
N: 0.3806 0.3140 0.8907
H: 0.2917 0.6246 0.3524
H: 0.7083 0.3754 0.6476
S: 0.3051 0.1329 0.6471
H: 0.7391 0.9554 0.0785
H: 0.0123 0.8386 0.4834
H: 0.0089 0.3753 0.8518
H: 0.4981 0.2766 0.9006
H: 0.5026 0.8932 0.9066
H: 0.6606 0.5446 0.9215
N: 0.1742 0.1012 0.8879
N: 0.0799 0.1767 0.0985

***

(2)
A plane-wave DFT calculation with PBE was carried out for crystalline NaAsH4O5 at its relaxed geometry.

Summary:
The symmetry is P2_12_12_1 (19). Its energy of formation is -1.56 eV per atom. The relative energy among the computed polymorphs comes out at 0.004 eV/atom.

a b c (Å): 5.3100 8.5927 10.5303
angles (deg): 90.00 90.00 90.00
Fractional positions:
O: 0.2502 0.6959 0.6735
Na: 0.9239 0.9075 0.0932
O: 0.6711 0.4241 0.2870
O: 0.9280 0.1370 0.4381
O: 0.8076 0.8759 0.6905
O: 0.6725 0.3898 0.0195
O: 0.3076 0.6241 0.3095
H: 0.0541 0.0549 0.4507
H: 0.4618 0.0110 0.2031
As: 0.9178 0.6944 0.6578
O: 0.6924 0.1241 0.1905
Na: 0.5761 0.0925 0.5932
Na: 0.0761 0.4075 0.4068
O: 0.3275 0.8898 0.4805
H: 0.8580 0.1183 0.3525
O: 0.7502 0.8041 0.3265
O: 0.0720 0.6370 0.0619
O: 0.1725 0.1102 0.9805
O: 0.8289 0.5759 0.7870
O: 0.1924 0.3759 0.8095
Na: 0.4239 0.5925 0.9068
H: 0.3580 0.3817 0.6475
As: 0.0822 0.1944 0.8422
As: 0.5822 0.3056 0.1578
H: 0.0382 0.9890 0.7031
H: 0.1420 0.6183 0.1475
O: 0.2498 0.3041 0.1735
O: 0.3289 0.9241 0.2130
H: 0.6871 0.2673 0.8947
O: 0.7498 0.1959 0.8265
O: 0.1711 0.0759 0.7130
O: 0.5720 0.8630 0.9381
O: 0.4280 0.3630 0.5619
As: 0.4178 0.8056 0.3422
H: 0.3129 0.7673 0.6053
H: 0.5382 0.5110 0.2969
H: 0.8129 0.7327 0.3947
H: 0.9618 0.4890 0.7969
O: 0.8275 0.6102 0.5195
H: 0.4459 0.9451 0.9507
H: 0.5541 0.4451 0.5493
H: 0.9459 0.5549 0.0493
H: 0.6420 0.8817 0.8525
H: 0.1871 0.2327 0.1053

***

(3)
A plane-wave DFT calculation with PBE was carried out for crystalline Na2AsH15O11 at its relaxed geometry.

Summary:
The symmetry is P2_1/c (14). Its energy of formation is -1.43 eV per atom.

a b c (Å): 11.0268 9.4909 13.5505
angles (deg): 51.53 90.00 90.00
Fractional positions:
O: 0.0795 0.6989 0.8601
H: 0.9916 0.4908 0.7752
H: 0.0084 0.5092 0.2248
O: 0.0237 0.0738 0.8557
H: 0.9117 0.4484 0.4047
H: 0.8880 0.0000 0.6479
Na: 0.8969 0.8311 0.0217
O: 0.3252 0.6730 0.8092
Na: 0.1037 0.1558 0.4793
Na: 0.6037 0.8442 0.0207
O: 0.7473 0.4603 0.9447
H: 0.0011 0.8687 0.7191
H: 0.7563 0.5718 0.2715
H: 0.5492 0.4777 0.1289
H: 0.5280 0.1552 0.2818
H: 0.0280 0.8448 0.2182
O: 0.4763 0.0738 0.3557
H: 0.4117 0.5516 0.0953
O: 0.2456 0.9281 0.0545
O: 0.2476 0.2096 0.5955
As: 0.2665 0.7052 0.3960
H: 0.9989 0.1313 0.2809
O: 0.0073 0.5670 0.6195
H: 0.7307 0.5138 0.1878
H: 0.0547 0.5872 0.8695
H: 0.2770 0.8245 0.6415
H: 0.2524 0.1071 0.1870
H: 0.7475 0.6793 0.9123
O: 0.0378 0.0467 0.3643
O: 0.5237 0.9262 0.6443
H: 0.2419 0.8916 0.0004
H: 0.2563 0.4282 0.2285
O: 0.5795 0.3011 0.6399
H: 0.7419 0.1084 0.4996
O: 0.9205 0.3011 0.1399
H: 0.7230 0.1755 0.3585
O: 0.0124 0.5585 0.1347
O: 0.9876 0.4415 0.8653
Na: 0.6031 0.8311 0.5217
H: 0.4720 0.8448 0.7182
H: 0.0492 0.5223 0.3711
H: 0.5084 0.4908 0.2752
H: 0.9083 0.9674 0.1679
H: 0.0974 0.5493 0.1154
H: 0.2437 0.4282 0.7285
H: 0.0883 0.5516 0.5953
H: 0.6120 0.0000 0.1479
H: 0.2230 0.8245 0.1415
O: 0.2440 0.9164 0.8534
O: 0.7544 0.0719 0.9455
H: 0.2581 0.8916 0.5004
H: 0.7581 0.1084 0.9996
H: 0.7525 0.6793 0.4123
H: 0.2475 0.3207 0.5877
O: 0.1748 0.6730 0.3092
O: 0.5124 0.4415 0.3653
O: 0.5073 0.4330 0.8805
H: 0.9720 0.1552 0.7818
H: 0.4989 0.8687 0.2191
O: 0.8252 0.3270 0.6908
O: 0.6748 0.3270 0.1908
H: 0.5011 0.1313 0.7809
O: 0.9763 0.9262 0.1443
O: 0.9622 0.9533 0.6357
H: 0.9508 0.4777 0.6289
O: 0.2508 0.3800 0.8168
O: 0.4927 0.5670 0.1195
H: 0.7476 0.8929 0.8130
H: 0.2307 0.4862 0.3122
O: 0.5378 0.9533 0.1357
O: 0.7560 0.0836 0.1466
H: 0.2693 0.4862 0.8122
O: 0.2473 0.5397 0.5553
O: 0.2560 0.9164 0.3534
O: 0.4205 0.6989 0.3601
H: 0.7770 0.1755 0.8585
H: 0.7524 0.8929 0.3130
H: 0.9453 0.4128 0.1305
Na: 0.8963 0.8442 0.5207
O: 0.4622 0.0467 0.8643
H: 0.5974 0.4507 0.3846
As: 0.7335 0.2948 0.6040
H: 0.7693 0.5138 0.6878
H: 0.4916 0.5092 0.7248
H: 0.4508 0.5223 0.8711
O: 0.7524 0.7904 0.4045
H: 0.3880 0.0000 0.8521
O: 0.7492 0.6200 0.1832
O: 0.4876 0.5585 0.6347
H: 0.5883 0.4484 0.9047
H: 0.4453 0.5872 0.3695
O: 0.2527 0.5397 0.0553
O: 0.9927 0.4330 0.3805
H: 0.9026 0.4507 0.8846
O: 0.2544 0.9281 0.5545
O: 0.7456 0.0719 0.4455
O: 0.2524 0.2096 0.0955
H: 0.1120 0.0000 0.3521
H: 0.0917 0.0326 0.8321
H: 0.4026 0.5493 0.6154
H: 0.5547 0.4128 0.6305
H: 0.5917 0.9674 0.6679
O: 0.7508 0.6200 0.6832
Na: 0.3963 0.1558 0.9793
O: 0.2492 0.3800 0.3168
H: 0.2525 0.3207 0.0877
Na: 0.3969 0.1689 0.4783
O: 0.7476 0.7904 0.9045
H: 0.4083 0.0326 0.3321
As: 0.2335 0.7052 0.8960
O: 0.7527 0.4603 0.4447
O: 0.7440 0.0836 0.6466
Na: 0.1031 0.1689 0.9783
As: 0.7665 0.2948 0.1040
H: 0.2476 0.1071 0.6870
H: 0.7437 0.5718 0.7715

***

- Among the records above, which one has the highest energy of formation?
  Mn3As2H26S8N10

***

- Which value of energy of formation does entry 3 give?
  -1.43 eV per atom

***

- Which of these has the lowest energy of formation?
  NaAsH4O5

***

- What is the formula in the third record?
  Na2AsH15O11